# meta-GGA r2SCAN Na2CaH10C2O11, optimized geometry
data_Na2CaH10C2O11
_chemical_formula_sum 'Na8 Ca4 H40 C8 O44'
_cell_length_a 14.373
_cell_length_b 7.514
_cell_length_c 11.119
_cell_angle_alpha 90.00
_cell_angle_beta 127.60
_cell_angle_gamma 90.00
_symmetry_space_group_name_H-M 'C 1 2/c 1'
_symmetry_Int_Tables_number 15
loop_
_symmetry_equiv_pos_as_xyz
'x,y,z'
'-x,-y,-z'
'-x,y,-z+1/2'
'x,-y,z+1/2'
'x+1/2,y+1/2,z'
'-x+1/2,-y+1/2,-z'
'-x+1/2,y+1/2,-z+1/2'
'x+1/2,-y+1/2,z+1/2'
loop_
_atom_site_label
_atom_site_type_symbol
_atom_site_fract_x
_atom_site_fract_y
_atom_site_fract_z
Na1 Na 0.084 0.187 0.485
Ca1 Ca 0.000 0.195 0.750
H1 H 0.062 0.409 0.271
H2 H 0.106 0.196 0.076
H3 H 0.117 0.400 0.047
H4 H 0.178 0.411 0.751
H5 H 0.218 0.436 0.919
C1 C 0.187 0.029 0.317
O1 O 0.000 0.326 0.250
O2 O 0.068 0.293 0.001
O3 O 0.104 0.004 0.174
O4 O 0.149 0.408 0.813
O5 O 0.166 0.006 0.912
O6 O 0.211 0.416 0.634
# * crystal system: monoclinic
# * energy relative to the elements: -1.5135 eV per atom

# meta-GGA r2SCAN Th2CrN3, optimized geometry
data_Th2CrN3
_chemical_formula_sum 'Th4 Cr2 N6'
_cell_length_a 3.561
_cell_length_b 3.885
_cell_length_c 12.787
_cell_angle_alpha 90.00
_cell_angle_beta 90.00
_cell_angle_gamma 90.00
_symmetry_space_group_name_H-M 'I m m m'
_symmetry_Int_Tables_number 71
_symmetry_space_group_name_Hall '-I 2 2'
loop_
_atom_site_label
_atom_site_type_symbol
_atom_site_fract_x
_atom_site_fract_y
_atom_site_fract_z
Th1 Th 0.000 0.000 0.144
Cr1 Cr 0.000 0.000 0.500
N1 N 0.000 0.000 0.333
N2 N 0.000 0.500 0.500
# * crystal system: orthorhombic
# * energy relative to the elements: -1.5985 eV per atom

# meta-GGA r2SCAN Yb2S3, optimized geometry
data_Yb2S3
_chemical_formula_sum 'Yb8 S12'
_cell_length_a 9.094
_cell_length_b 9.725
_cell_length_c 7.007
_cell_angle_alpha 90.00
_cell_angle_beta 130.35
_cell_angle_gamma 90.00
_symmetry_space_group_name_H-M 'C 1 2/c 1'
_symmetry_Int_Tables_number 15
loop_
_symmetry_equiv_pos_as_xyz
'x,y,z'
'-x,-y,-z'
'-x,y,-z+1/2'
'x,-y,z+1/2'
'x+1/2,y+1/2,z'
'-x+1/2,-y+1/2,-z'
'-x+1/2,y+1/2,-z+1/2'
'x+1/2,-y+1/2,z+1/2'
loop_
_atom_site_label
_atom_site_type_symbol
_atom_site_fract_x
_atom_site_fract_y
_atom_site_fract_z
Yb1 Yb 0.173 0.158 0.173
S1 S 0.000 0.301 0.750
S2 S 0.204 0.100 0.571
# * crystal system: monoclinic
# * energy relative to the elements: -2.3317 eV per atom

# meta-GGA r2SCAN CsHoO2, optimized geometry
data_CsHoO2
_chemical_formula_sum 'Cs2 Ho2 O4'
_cell_length_a 3.5115
_cell_length_b 3.5115
_cell_length_c 13.6563
_cell_angle_alpha 90.00
_cell_angle_beta 90.00
_cell_angle_gamma 120.00
_symmetry_space_group_name_H-M 'P 63/m m c'
_symmetry_Int_Tables_number 194
_symmetry_space_group_name_Hall '-P 6c 2c'
loop_
_atom_site_label
_atom_site_type_symbol
_atom_site_fract_x
_atom_site_fract_y
_atom_site_fract_z
Cs1 Cs 0.3333 0.6667 0.2500
Ho1 Ho 0.0000 0.0000 0.0000
O1 O 0.3333 0.6667 0.5817
# * crystal system: hexagonal
# * energy relative to the elements: -2.9267 eV per atom